## Zn6B5Ir11 (PBE)

Data for crystalline Zn6B5Ir11 at its relaxed geometry.

Total energy in eV per atom: -6.554
SG: Pmm2 (25)

a = 2.8948 Å, b = 11.4073 Å, c = 8.5017 Å
α = 90.00°, β = 90.00°, γ = 90.00°
With the nearest neighbours (Å) after each atom.
Sites, in units of the cell vectors:
Zn  0.0000  0.0000  0.0000  1 Zn 2.55, 8 Ir 2.66-2.81, 2 B 2.81
Zn  0.0000  0.0000  0.3001  1 Zn 2.55, 2 B 2.67, 8 Ir 2.69-2.82
Zn  0.0000  0.0000  0.6514  8 Ir 2.65-2.66, 3 Zn 2.89-2.96
Zn  0.0000  0.3007  0.6583  3 B 2.68-2.89, 8 Ir 2.69-2.86, 2 Zn 2.89
Zn  0.0000  0.5000  0.1386  8 Ir 2.67-2.73, 1 B 2.85, 2 Zn 2.89
Zn  0.0000  0.6993  0.6583  3 B 2.68-2.89, 8 Ir 2.69-2.86, 2 Zn 2.89
B  0.0000  0.2329  0.3310  6 Ir 2.15-2.22
B  0.0000  0.2452  0.9649  6 Ir 2.14-2.26
B  0.0000  0.5000  0.4733  6 Ir 2.11-2.23
B  0.0000  0.7548  0.9649  6 Ir 2.14-2.26
B  0.0000  0.7671  0.3310  6 Ir 2.15-2.22
Ir  0.5000  0.1452  0.8244  2 B 2.20
Ir  0.5000  0.1477  0.4796  2 B 2.15
Ir  0.5000  0.1796  0.1489  4 B 2.20-2.26
Ir  0.5000  0.3786  0.3573  4 B 2.22-2.23
Ir  0.5000  0.3808  0.9280  2 B 2.14
Ir  0.5000  0.5000  0.6535  2 B 2.11
Ir  0.5000  0.6192  0.9280  2 B 2.14
Ir  0.5000  0.6214  0.3573  4 B 2.22-2.23
Ir  0.5000  0.8204  0.1489  4 B 2.20-2.26
Ir  0.5000  0.8523  0.4796  2 B 2.15
Ir  0.5000  0.8548  0.8244  2 B 2.20

=====

## Na3MgNbSiP2O12 (PBE)

Data for crystalline Na3MgNbSiP2O12 at its relaxed geometry.

Total energy in eV per atom: -6.974
Total energy after the MP2020 corrections in eV per atom: -7.386
Polymorph energy (0 for the lowest one) in eV per atom: 0.000
Total moment in Bohr magnetons per cell: 0.000
SG: Cc (9)

a = 9.0414 Å, b = 9.0414 Å, c = 22.1314 Å
α = 90.17°, β = 90.17°, γ = 59.75°
With the nearest neighbours (Å) after each atom.
Sites, in units of the cell vectors:
Na  0.0066  0.9934  0.5000  3 O 2.33-2.49
Na  0.0336  0.3119  0.4093  4 O 2.38-2.44
Na  0.3032  0.3445  0.8332  4 O 2.35-2.60
Na  0.3036  0.6432  0.4160  4 O 2.30-2.54
Na  0.3119  0.0336  0.9093  4 O 2.38-2.44
Na  0.3169  0.6982  0.0820  4 O 2.28-2.47
Na  0.3445  0.3032  0.3332  4 O 2.35-2.60
Na  0.3627  0.6481  0.7457  4 O 2.31-2.52
Na  0.6312  0.9855  0.7500  4 O 2.34-2.46
Na  0.6432  0.3036  0.9160  4 O 2.30-2.54
Na  0.6481  0.3627  0.2457  4 O 2.31-2.52
Na  0.6528  0.6675  0.1660  3 O 2.31-2.50
Na  0.6675  0.6528  0.6660  3 O 2.31-2.50
Na  0.6982  0.3169  0.5820  4 O 2.28-2.47
Na  0.7009  0.9759  0.0759  4 O 2.38-2.46
Na  0.9759  0.7009  0.5759  4 O 2.38-2.46
Na  0.9855  0.6312  0.2500  4 O 2.34-2.46
Na  0.9934  0.0066  0.0000  3 O 2.33-2.49
Mg  0.0020  0.9985  0.6381  5 O 1.97-2.17
Mg  0.3300  0.3309  0.4715  6 O 1.98-2.16
Mg  0.3309  0.3300  0.9715  6 O 1.98-2.16
Mg  0.6563  0.6690  0.3047  6 O 1.98-2.22
Mg  0.6690  0.6563  0.8047  6 O 1.98-2.22
Mg  0.9985  0.0020  0.1381  5 O 1.97-2.17
Nb  0.3287  0.3315  0.1771  6 O 1.92-2.10
Nb  0.3315  0.3287  0.6771  6 O 1.92-2.10
Nb  0.6588  0.6701  0.5105  6 O 1.95-2.13
Nb  0.6701  0.6588  0.0105  6 O 1.95-2.13
Nb  0.9899  0.9989  0.8435  5 O 1.90-2.10
Nb  0.9989  0.9899  0.3435  5 O 1.90-2.10
Si  0.2949  0.7023  0.2345  4 O 1.58-1.72
Si  0.3283  0.6297  0.5698  4 O 1.59-1.74
Si  0.6297  0.3283  0.0698  4 O 1.59-1.74
Si  0.6618  0.9562  0.9026  4 O 1.58-1.70
Si  0.7023  0.2949  0.7345  4 O 1.58-1.72
Si  0.9562  0.6618  0.4026  4 O 1.58-1.70
P  0.0010  0.2841  0.2402  4 O 1.50-1.60
P  0.0372  0.3301  0.5687  4 O 1.51-1.60
P  0.0386  0.6166  0.0722  4 O 1.50-1.59
P  0.2841  0.0010  0.7402  4 O 1.50-1.60
P  0.3301  0.0372  0.0687  4 O 1.51-1.60
P  0.3674  0.6672  0.9048  4 O 1.52-1.61
P  0.3711  0.9552  0.4041  4 O 1.49-1.60
P  0.6166  0.0386  0.5722  4 O 1.50-1.59
P  0.6672  0.3674  0.4048  4 O 1.52-1.61
P  0.7037  0.9960  0.2363  4 O 1.51-1.61
P  0.9552  0.3711  0.9041  4 O 1.49-1.60
P  0.9960  0.7037  0.7363  4 O 1.51-1.61
O  0.0069  0.7993  0.0765  1 P 1.53
O  0.0192  0.1814  0.3009  1 P 1.60
O  0.0256  0.8010  0.7920  1 P 1.61
O  0.1212  0.5117  0.1327  1 P 1.59
O  0.1279  0.3197  0.5101  1 P 1.51
O  0.1364  0.3366  0.9128  1 P 1.52
O  0.1399  0.3479  0.6239  1 P 1.59
O  0.1494  0.5010  0.4086  1 Si 1.62
O  0.1511  0.5218  0.0195  1 P 1.50
O  0.1640  0.8086  0.2946  1 Si 1.72, 1 Nb 1.90
O  0.1637  0.8141  0.5797  1 Si 1.59
O  0.1681  0.5249  0.7361  1 P 1.58
O  0.1699  0.2937  0.2355  1 P 1.58
O  0.1814  0.0192  0.8009  1 P 1.60
O  0.1854  0.9995  0.0761  1 P 1.52
O  0.1908  0.9621  0.4040  1 P 1.60
O  0.1938  0.8435  0.9043  1 P 1.58
O  0.1944  0.9728  0.6879  1 P 1.50
O  0.2006  0.8010  0.1747  1 Si 1.58
O  0.2937  0.1699  0.7355  1 P 1.58
O  0.2951  0.5123  0.2364  1 Si 1.72
O  0.3093  0.5384  0.5111  1 Si 1.59
O  0.3197  0.1279  0.0101  1 P 1.51
O  0.3366  0.1364  0.4128  1 P 1.52
O  0.3374  0.5175  0.9129  1 P 1.52
O  0.3479  0.1399  0.1239  1 P 1.59
O  0.3559  0.4931  0.6297  1 Si 1.74, 1 Nb 1.92
O  0.4622  0.8373  0.4620  1 P 1.60
O  0.4680  0.6859  0.9617  1 P 1.61
O  0.4678  0.8492  0.7448  1 P 1.53
O  0.4698  0.8671  0.3485  1 P 1.49
O  0.4716  0.6449  0.8483  1 P 1.52
O  0.4882  0.6578  0.2436  1 Si 1.60
O  0.4931  0.3559  0.1297  1 Si 1.74, 1 Nb 1.92
O  0.5010  0.1494  0.9086  1 Si 1.62
O  0.5073  0.8587  0.0708  1 P 1.60
O  0.5117  0.1212  0.6327  1 P 1.59
O  0.5123  0.2951  0.7363  1 Si 1.72
O  0.5147  0.6267  0.5695  1 Si 1.67
O  0.5175  0.3374  0.4129  1 P 1.52
O  0.5218  0.1511  0.5195  1 P 1.50
O  0.5249  0.1681  0.2361  1 P 1.58
O  0.5384  0.3093  0.0111  1 Si 1.59
O  0.6267  0.5147  0.0695  1 Si 1.67
O  0.6326  0.8557  0.5690  1 P 1.59
O  0.6417  0.8655  0.8443  1 Si 1.58
O  0.6449  0.4716  0.3483  1 P 1.52
O  0.6578  0.4882  0.7436  1 Si 1.60
O  0.6828  0.8418  0.2455  1 P 1.51
O  0.6844  0.8333  0.9638  1 Si 1.70
O  0.6859  0.4680  0.4617  1 P 1.61
O  0.7993  0.0069  0.5765  1 P 1.53
O  0.8010  0.0256  0.2920  1 P 1.61
O  0.8010  0.2006  0.6747  1 Si 1.58
O  0.8022  0.9798  0.1790  1 P 1.52
O  0.8086  0.1640  0.7946  1 Si 1.72, 1 Nb 1.90
O  0.8141  0.1637  0.0797  1 Si 1.59
O  0.8333  0.6844  0.4638  1 Si 1.70
O  0.8373  0.4622  0.9620  1 P 1.60
O  0.8418  0.6828  0.7455  1 P 1.51
O  0.8418  0.9705  0.9008  1 Si 1.70
O  0.8435  0.1938  0.4043  1 P 1.58
O  0.8492  0.4678  0.2448  1 P 1.53
O  0.8557  0.6326  0.0690  1 P 1.59
O  0.8587  0.5073  0.5708  1 P 1.60
O  0.8655  0.6417  0.3443  1 Si 1.58
O  0.8671  0.4698  0.8485  1 P 1.49
O  0.9621  0.1908  0.9040  1 P 1.60
O  0.9705  0.8418  0.4008  1 Si 1.70
O  0.9728  0.1944  0.1879  1 P 1.50
O  0.9798  0.8022  0.6790  1 P 1.52
O  0.9995  0.1854  0.5761  1 P 1.52

=====

## CaSiO3 (PBE)

Data for crystalline CaSiO3 at its relaxed geometry.

Total energy in eV per atom: -7.247
Total energy after the MP2020 corrections in eV per atom: -7.659
Total moment in Bohr magnetons per cell: 0.000
SG: Pm-3m (221)

a = 3.6080 Å, b = 3.6080 Å, c = 3.6080 Å
α = 90.00°, β = 90.00°, γ = 90.00°
With the nearest neighbours (Å) after each atom.
Sites, in units of the cell vectors:
Ca  0.0000  0.0000  0.0000  12 O 2.55
Si  0.5000  0.5000  0.5000  6 O 1.80
O  0.0000  0.5000  0.5000  2 Si 1.80
O  0.5000  0.0000  0.5000  2 Si 1.80
O  0.5000  0.5000  0.0000  2 Si 1.80

=====

## Ca3NdF9 (PBE)

Data for crystalline Ca3NdF9 at its relaxed geometry.

Total energy in eV per atom: -6.004
Total energy after the MP2020 corrections in eV per atom: -6.324
Total moment in Bohr magnetons per cell: 0.012
SG: P1 (1)

a = 3.9190 Å, b = 3.9303 Å, c = 26.8940 Å
α = 86.09°, β = 86.05°, γ = 60.30°
With the nearest neighbours (Å) after each atom.
Sites, in units of the cell vectors:
Ca  0.0000  0.0000  0.0000  7 F 2.34-2.44
Ca  0.0813  0.1669  0.6351  6 F 2.39-2.44
Ca  0.2570  0.2994  0.2401  7 F 2.24-2.45
Ca  0.3624  0.3578  0.8822  7 F 2.33-2.43
Ca  0.6268  0.6513  0.1201  8 F 2.39-2.45
Ca  0.7255  0.7494  0.7590  8 F 2.38-2.50
Nd  0.4618  0.5563  0.5120  6 F 2.28-2.54
Nd  0.8859  0.9350  0.3695  4 F 2.27-2.53
F  0.0237  0.0162  0.9126  4 Ca 2.34-2.43
F  0.0511  0.0707  0.7876  3 Ca 2.38-2.41
F  0.1254  0.2183  0.5227  3 Nd 2.28-2.29, 3 F 2.43-2.46
F  0.2058  0.2493  0.4159  7 F 2.48-2.65, 3 Nd 2.57-2.61
F  0.2329  0.2801  0.3235  1 Ca 2.24, 1 F 2.48
F  0.3027  0.3258  0.0908  3 Ca 2.40
F  0.3429  0.3380  0.9692  4 Ca 2.33-2.44
F  0.3985  0.4287  0.7292  3 Ca 2.40-2.42
F  0.4264  0.5148  0.6041  3 Ca 2.41-2.43, 1 Nd 2.47, 3 F 2.58-2.63
F  0.5518  0.6003  0.3708  3 Nd 2.27
F  0.5989  0.6375  0.2109  4 Ca 2.38-2.44
F  0.6558  0.6641  0.0288  4 Ca 2.38-2.45
F  0.7053  0.7026  0.8521  4 Ca 2.41-2.50
F  0.7417  0.8116  0.6664  4 Ca 2.39-2.48
F  0.7773  0.8725  0.5568  7 F 2.43-2.63, 3 Nd 2.54-2.58
F  0.8405  0.9009  0.4638  6 F 2.50-2.77, 4 Nd 2.52-2.68
F  0.9133  0.9591  0.2732  3 Ca 2.42-2.45, 1 Nd 2.58, 3 F 2.63-2.65
F  0.9502  0.9786  0.1485  3 Ca 2.39-2.40